(1)
A relaxed Ta2FeO6 crystal. Source: the Materials Project database, functional PBE with a Hubbard U.

Results
ΔH_f (0 K) = -2.969 eV/atom
Spin magnetization = 0.444 μB/atom
E_tot = -9.14 eV/atom

abc: 4.8264 14.4475 9.3167
angles: 90.00 90.00 90.00
Closest atoms and distances in Å follow each position.
Sites, in units of the cell vectors:
Ta 0.0000 0.0000 0.0925  6 O 1.95-2.07
Ta 0.0000 0.0000 0.7525  6 O 1.99-2.01
Ta 0.0016 0.3375 0.4154  6 O 1.95-2.11
Ta 0.0035 0.3294 0.7608  4 O 1.87-2.04
Ta 0.4965 0.8294 0.2392  4 O 1.87-2.04
Ta 0.4984 0.8375 0.5846  6 O 1.95-2.11
Ta 0.5000 0.5000 0.2475  6 O 1.99-2.01
Ta 0.5000 0.5000 0.9075  6 O 1.95-2.07
Ta 0.5016 0.1625 0.5846  6 O 1.95-2.11
Ta 0.5035 0.1706 0.2392  4 O 1.87-2.04
Ta 0.9965 0.6706 0.7608  4 O 1.87-2.04
Ta 0.9984 0.6625 0.4154  6 O 1.95-2.11
Fe 0.0000 0.0000 0.4177  6 O 2.16-2.19
Fe 0.0072 0.3323 0.0833  6 O 2.04-2.23
Fe 0.4928 0.8323 0.9167  6 O 2.04-2.23
Fe 0.5000 0.5000 0.5823  6 O 2.16-2.19
Fe 0.5072 0.1677 0.9167  6 O 2.04-2.23
Fe 0.9928 0.6677 0.0833  6 O 2.04-2.23
O 0.1771 0.6032 0.5791  2 Ta 1.95-2.14, 1 Fe 2.16
O 0.1881 0.9384 0.9172  2 Ta 1.99-2.07, 1 Fe 2.12
O 0.1971 0.2632 0.9007  1 Ta 1.87, 1 Fe 2.04
O 0.2016 0.9303 0.5980  2 Ta 1.97-2.01, 1 Fe 2.19
O 0.2049 0.2633 0.2674  2 Ta 1.99-2.00, 1 Fe 2.20
O 0.2060 0.2698 0.5823  3 Ta 2.09-2.11
O 0.2056 0.9315 0.2382  2 Ta 1.95-2.04, 1 Fe 2.18
O 0.2080 0.5985 0.2656  2 Ta 1.96-2.01
O 0.2100 0.5995 0.9015  2 Ta 1.96-2.01
O 0.2900 0.0995 0.0985  2 Ta 1.96-2.01
O 0.2920 0.0985 0.7344  2 Ta 1.96-2.01
O 0.2944 0.4315 0.7618  2 Ta 1.95-2.04, 1 Fe 2.18
O 0.2940 0.7698 0.4177  3 Ta 2.09-2.11
O 0.2951 0.7633 0.7326  2 Ta 1.99-2.00, 1 Fe 2.20
O 0.2984 0.4303 0.4020  2 Ta 1.97-2.01, 1 Fe 2.19
O 0.3029 0.7632 0.0993  1 Ta 1.87, 1 Fe 2.04
O 0.3119 0.4384 0.0828  2 Ta 1.99-2.07, 1 Fe 2.12
O 0.3229 0.1032 0.4209  2 Ta 1.95-2.14, 1 Fe 2.16
O 0.6771 0.8968 0.4209  2 Ta 1.95-2.14, 1 Fe 2.16
O 0.6881 0.5616 0.0828  2 Ta 1.99-2.07, 1 Fe 2.12
O 0.6971 0.2368 0.0993  1 Ta 1.87, 1 Fe 2.04
O 0.7016 0.5697 0.4020  2 Ta 1.97-2.01, 1 Fe 2.19
O 0.7049 0.2367 0.7326  2 Ta 1.99-2.00, 1 Fe 2.20
O 0.7060 0.2302 0.4177  3 Ta 2.09-2.11
O 0.7056 0.5685 0.7618  2 Ta 1.95-2.04, 1 Fe 2.18
O 0.7080 0.9015 0.7344  2 Ta 1.96-2.01
O 0.7100 0.9005 0.0985  2 Ta 1.96-2.01
O 0.7900 0.4005 0.9015  2 Ta 1.96-2.01
O 0.7920 0.4015 0.2656  2 Ta 1.96-2.01
O 0.7944 0.0685 0.2382  2 Ta 1.95-2.04, 1 Fe 2.18
O 0.7940 0.7302 0.5823  3 Ta 2.09-2.11
O 0.7951 0.7367 0.2674  2 Ta 1.99-2.00, 1 Fe 2.20
O 0.7984 0.0697 0.5980  2 Ta 1.97-2.01, 1 Fe 2.19
O 0.8029 0.7368 0.9007  1 Ta 1.87, 1 Fe 2.04
O 0.8119 0.0616 0.9172  2 Ta 1.99-2.07, 1 Fe 2.12
O 0.8229 0.3968 0.5791  2 Ta 1.95-2.14, 1 Fe 2.16

(2)
A relaxed TaFeO4 crystal. Source: the Materials Project database, functional PBE with a Hubbard U.

Results
ΔH_f (0 K) = -2.667 eV/atom
Spin magnetization = 0.000 μB/atom
E_tot = -8.52 eV/atom

abc: 5.0698 5.6997 9.3711
angles: 90.00 89.92 90.00
Closest atoms and distances in Å follow each position.
Sites, in units of the cell vectors:
Ta 0.2500 0.1748 0.0000  6 O 1.92-2.14
Ta 0.7500 0.8252 0.0000  6 O 1.92-2.14
Ta 0.2500 0.1748 0.5000  6 O 1.92-2.14
Ta 0.7500 0.8252 0.5000  6 O 1.92-2.14
O 0.0780 0.8854 0.3881  2 Ta 1.99-2.14, 1 Fe 2.02
O 0.5780 0.1146 0.3881  2 Ta 1.99-2.14, 1 Fe 2.02
O 0.5854 0.6182 0.3656  1 Ta 1.92, 2 Fe 2.03-2.10
O 0.9146 0.6182 0.6344  1 Ta 1.92, 2 Fe 2.03-2.10
O 0.9220 0.1146 0.1119  2 Ta 1.99-2.14, 1 Fe 2.02
O 0.4220 0.8854 0.6119  2 Ta 1.99-2.14, 1 Fe 2.02
O 0.0780 0.8854 0.8881  2 Ta 1.99-2.14, 1 Fe 2.02
O 0.4146 0.3818 0.1344  1 Ta 1.92, 2 Fe 2.03-2.10
O 0.5854 0.6182 0.8656  1 Ta 1.92, 2 Fe 2.03-2.10
O 0.4220 0.8854 0.1119  2 Ta 1.99-2.14, 1 Fe 2.02
O 0.5780 0.1146 0.8881  2 Ta 1.99-2.14, 1 Fe 2.02
O 0.0854 0.3818 0.8656  1 Ta 1.92, 2 Fe 2.03-2.10
O 0.0854 0.3818 0.3656  1 Ta 1.92, 2 Fe 2.03-2.10
O 0.4146 0.3818 0.6344  1 Ta 1.92, 2 Fe 2.03-2.10
O 0.9220 0.1146 0.6119  2 Ta 1.99-2.14, 1 Fe 2.02
O 0.9146 0.6182 0.1344  1 Ta 1.92, 2 Fe 2.03-2.10
Fe 0.7500 0.3389 0.2500  6 O 2.02-2.10
Fe 0.7500 0.3389 0.7500  6 O 2.02-2.10
Fe 0.2500 0.6611 0.7500  6 O 2.02-2.10
Fe 0.2500 0.6611 0.2500  6 O 2.02-2.10

(3)
A relaxed TaFeO4 crystal. Source: the Materials Project database, functional PBE with a Hubbard U.

Results
ΔH_f (0 K) = -2.670 eV/atom
E_tot = -8.52 eV/atom

abc: 6.6410 6.6410 6.7344
angles: 106.77 106.77 34.04
Closest atoms and distances in Å follow each position.
Sites, in units of the cell vectors:
Ta 0.1041 0.1041 0.2233  4 O 1.84-1.99
Ta 0.8959 0.8959 0.7767  4 O 1.84-1.99
Fe 0.1968 0.1968 0.8071  4 O 1.93-2.03
Fe 0.8032 0.8032 0.1929  4 O 1.93-2.03
O 0.0545 0.0545 0.8689  1 Ta 1.92, 1 Fe 1.97
O 0.1360 0.1360 0.5082  1 Ta 1.84, 1 Fe 1.93
O 0.2556 0.2556 0.1476  3 Fe 2.03-2.19, 1 Ta 2.13
O 0.3659 0.3659 0.7973  2 Ta 1.99, 1 Fe 2.17
O 0.6341 0.6341 0.2027  2 Ta 1.99, 1 Fe 2.17
O 0.7444 0.7444 0.8524  3 Fe 2.03-2.19, 1 Ta 2.13
O 0.8640 0.8640 0.4918  1 Ta 1.84, 1 Fe 1.93
O 0.9455 0.9455 0.1311  1 Ta 1.92, 1 Fe 1.97

(4)
A relaxed Ta2FeO6 crystal. Source: the Materials Project database, functional PBE with a Hubbard U.

Results
ΔH_f (0 K) = -2.978 eV/atom
E_tot = -9.14 eV/atom

abc: 4.8248 10.4576 9.6497
angles: 62.52 90.00 90.00
Closest atoms and distances in Å follow each position.
Sites, in units of the cell vectors:
O 0.7931 0.1805 0.8063  2 Ta 1.98-2.00, 1 Fe 2.19
O 0.8127 0.5000 0.6563  2 Ta 2.03, 1 Fe 2.13
O 0.7069 0.3195 0.9868  2 Ta 1.98-2.00, 1 Fe 2.19
O 0.7931 0.8195 0.9868  2 Ta 1.98-2.00, 1 Fe 2.19
O 0.2069 0.8195 0.1937  2 Ta 1.98-2.00, 1 Fe 2.19
O 0.1873 0.5000 0.8437  2 Ta 2.03, 1 Fe 2.13
O 0.2069 0.1805 0.0132  2 Ta 1.98-2.00, 1 Fe 2.19
O 0.7931 0.8195 0.4868  2 Ta 1.98-2.00, 1 Fe 2.19
O 0.7069 0.3195 0.4868  2 Ta 1.98-2.00, 1 Fe 2.19
O 0.6873 0.0000 0.6563  2 Ta 2.03, 1 Fe 2.13
O 0.2931 0.3195 0.1937  2 Ta 1.98-2.00, 1 Fe 2.19
O 0.8127 0.5000 0.1563  2 Ta 2.03, 1 Fe 2.13
O 0.7069 0.6805 0.3063  2 Ta 1.98-2.00, 1 Fe 2.19
O 0.2069 0.8195 0.6937  2 Ta 1.98-2.00, 1 Fe 2.19
O 0.2931 0.3195 0.6937  2 Ta 1.98-2.00, 1 Fe 2.19
O 0.7931 0.1805 0.3063  2 Ta 1.98-2.00, 1 Fe 2.19
O 0.1873 0.5000 0.3437  2 Ta 2.03, 1 Fe 2.13
O 0.2931 0.6805 0.5132  2 Ta 1.98-2.00, 1 Fe 2.19
O 0.3127 0.0000 0.8437  2 Ta 2.03, 1 Fe 2.13
O 0.6873 0.0000 0.1563  2 Ta 2.03, 1 Fe 2.13
O 0.3127 0.0000 0.3437  2 Ta 2.03, 1 Fe 2.13
O 0.2069 0.1805 0.5132  2 Ta 1.98-2.00, 1 Fe 2.19
O 0.2931 0.6805 0.0132  2 Ta 1.98-2.00, 1 Fe 2.19
O 0.7069 0.6805 0.8063  2 Ta 1.98-2.00, 1 Fe 2.19
Ta 0.0000 0.6694 0.1653  6 O 1.98-2.03
Ta 0.5000 0.8306 0.3347  6 O 1.98-2.03
Ta 0.5000 0.1694 0.6653  6 O 1.98-2.03
Ta 0.5000 0.1694 0.1653  6 O 1.98-2.03
Ta 0.0000 0.3306 0.8347  6 O 1.98-2.03
Ta 0.0000 0.6694 0.6653  6 O 1.98-2.03
Ta 0.0000 0.3306 0.3347  6 O 1.98-2.03
Ta 0.5000 0.8306 0.8347  6 O 1.98-2.03
Fe 0.5000 0.5000 0.0000  6 O 2.13-2.19
Fe 0.5000 0.5000 0.5000  6 O 2.13-2.19
Fe 0.0000 0.0000 0.5000  6 O 2.13-2.19
Fe 0.0000 0.0000 0.0000  6 O 2.13-2.19

(5)
A relaxed TaFeO4 crystal. Source: the Materials Project database, functional PBE with a Hubbard U.

Results
ΔH_f (0 K) = -2.633 eV/atom
Spin magnetization = 0.833 μB/atom
E_tot = -8.49 eV/atom

abc: 5.6787 9.3841 5.1065
angles: 90.00 90.00 90.00
Closest atoms and distances in Å follow each position.
Sites, in units of the cell vectors:
Ta 0.0913 0.1269 0.0000  6 O 1.92-2.13
Ta 0.4087 0.6269 0.5000  6 O 1.92-2.13
Ta 0.5913 0.3731 0.0000  6 O 1.92-2.13
Ta 0.9087 0.8731 0.5000  6 O 1.92-2.13
Fe 0.0801 0.6231 0.0119  6 O 1.96-2.15
Fe 0.4199 0.1231 0.5119  6 O 1.96-2.15
Fe 0.5801 0.8769 0.0119  6 O 1.96-2.15
Fe 0.9199 0.3769 0.5119  6 O 1.96-2.15
O 0.1249 0.7401 0.6779  2 Ta 1.97-2.13, 1 Fe 2.04
O 0.1299 0.0097 0.3407  2 Ta 1.97-2.07, 1 Fe 2.15
O 0.1361 0.2395 0.6894  1 Ta 1.92, 2 Fe 2.00-2.15
O 0.1381 0.5134 0.3498  2 Fe 1.96-2.04, 1 Ta 2.02
O 0.3619 0.0134 0.8498  2 Fe 1.96-2.04, 1 Ta 2.02
O 0.3639 0.7395 0.1894  1 Ta 1.92, 2 Fe 2.00-2.15
O 0.3701 0.5097 0.8407  2 Ta 1.97-2.07, 1 Fe 2.15
O 0.3751 0.2401 0.1779  2 Ta 1.97-2.13, 1 Fe 2.04
O 0.6249 0.7599 0.6779  2 Ta 1.97-2.13, 1 Fe 2.04
O 0.6299 0.4903 0.3407  2 Ta 1.97-2.07, 1 Fe 2.15
O 0.6361 0.2605 0.6894  1 Ta 1.92, 2 Fe 2.00-2.15
O 0.6381 0.9866 0.3498  2 Fe 1.96-2.04, 1 Ta 2.02
O 0.8619 0.4866 0.8498  2 Fe 1.96-2.04, 1 Ta 2.02
O 0.8639 0.7605 0.1894  1 Ta 1.92, 2 Fe 2.00-2.15
O 0.8701 0.9903 0.8407  2 Ta 1.97-2.07, 1 Fe 2.15
O 0.8751 0.2599 0.1779  2 Ta 1.97-2.13, 1 Fe 2.04

(6)
A relaxed TaFeO4 crystal. Source: the Materials Project database, functional PBE with a Hubbard U.

Results
Piezoelectric modulus e_max = 0.92 C/m²
ΔH_f (0 K) = -2.651 eV/atom
E_tot = -8.50 eV/atom

abc: 5.6440 9.0852 5.6440
angles: 86.02 72.73 86.02
Closest atoms and distances in Å follow each position.
Sites, in units of the cell vectors:
O 0.6989 0.9977 0.3053  2 Ta 2.03-2.05, 1 Fe 2.05
O 0.2187 0.9786 0.2187  1 Ta 1.93, 2 Fe 2.04-2.07
O 0.5478 0.7541 0.9439  1 Ta 1.95, 2 Fe 2.02-2.06
O 0.0218 0.7799 0.0218  1 Ta 1.95, 2 Fe 2.01-2.06
O 0.0478 0.2541 0.4439  1 Ta 1.95, 2 Fe 2.02-2.06
O 0.4439 0.2541 0.0478  1 Ta 1.95, 2 Fe 2.02-2.06
O 0.4756 0.7213 0.4756  2 Ta 2.03-2.05, 1 Fe 2.05
O 0.1989 0.4977 0.8053  2 Ta 2.03-2.05, 1 Fe 2.05
O 0.9755 0.2213 0.9755  2 Ta 2.03-2.05, 1 Fe 2.05
O 0.9439 0.7541 0.5478  1 Ta 1.95, 2 Fe 2.02-2.06
O 0.3053 0.9977 0.6989  2 Ta 2.03-2.05, 1 Fe 2.05
O 0.5218 0.2799 0.5218  1 Ta 1.95, 2 Fe 2.01-2.06
O 0.7187 0.4786 0.7187  1 Ta 1.93, 2 Fe 2.04-2.07
O 0.8053 0.4977 0.1989  2 Ta 2.03-2.05, 1 Fe 2.05
O 0.2783 0.5244 0.2783  2 Ta 2.03-2.06, 1 Fe 2.04
O 0.7783 0.0244 0.7783  2 Ta 2.03-2.06, 1 Fe 2.04
Fe 0.2495 0.7499 0.2495  6 O 2.02-2.07
Fe 0.8751 0.6267 0.8751  6 O 2.01-2.06
Fe 0.7495 0.2499 0.7495  6 O 2.02-2.07
Fe 0.3751 0.1266 0.3751  6 O 2.01-2.06
Ta 0.6299 0.8704 0.6299  6 O 1.95-2.05
Ta 0.0053 0.9954 0.0053  6 O 1.93-2.06
Ta 0.5053 0.4954 0.5053  6 O 1.93-2.06
Ta 0.1299 0.3704 0.1299  6 O 1.95-2.05

(7)
A relaxed TaFeO4 crystal. Source: the Materials Project database, functional PBE with a Hubbard U.

Results
ΔH_f (0 K) = -2.639 eV/atom
Spin magnetization = 0.000 μB/atom
E_tot = -8.49 eV/atom

abc: 4.5619 11.8367 4.9488
angles: 90.00 90.00 90.00
Closest atoms and distances in Å follow each position.
Sites, in units of the cell vectors:
Ta 0.0000 0.1724 0.2500  6 O 1.93-2.11
Ta 0.0000 0.8276 0.7500  6 O 1.93-2.11
Ta 0.5000 0.3276 0.7500  6 O 1.93-2.11
Ta 0.5000 0.6724 0.2500  6 O 1.93-2.11
Fe 0.0000 0.4334 0.2500  6 O 2.00-2.06
Fe 0.0000 0.5666 0.7500  6 O 2.00-2.06
Fe 0.5000 0.0666 0.7500  6 O 2.00-2.06
Fe 0.5000 0.9334 0.2500  6 O 2.00-2.06
O 0.2301 0.3076 0.0724  1 Fe 2.02, 2 Ta 2.03-2.11
O 0.2301 0.6924 0.5724  1 Fe 2.02, 2 Ta 2.03-2.11
O 0.2455 0.4379 0.5853  1 Ta 1.93, 2 Fe 2.00-2.06
O 0.2455 0.5621 0.0853  1 Ta 1.93, 2 Fe 2.00-2.06
O 0.2545 0.0621 0.0853  1 Ta 1.93, 2 Fe 2.00-2.06
O 0.2545 0.9379 0.5853  1 Ta 1.93, 2 Fe 2.00-2.06
O 0.2699 0.1924 0.5724  1 Fe 2.02, 2 Ta 2.03-2.11
O 0.2699 0.8076 0.0724  1 Fe 2.02, 2 Ta 2.03-2.11
O 0.7301 0.1924 0.9276  1 Fe 2.02, 2 Ta 2.03-2.11
O 0.7301 0.8076 0.4276  1 Fe 2.02, 2 Ta 2.03-2.11
O 0.7455 0.0621 0.4147  1 Ta 1.93, 2 Fe 2.00-2.06
O 0.7455 0.9379 0.9147  1 Ta 1.93, 2 Fe 2.00-2.06
O 0.7545 0.4379 0.9147  1 Ta 1.93, 2 Fe 2.00-2.06
O 0.7545 0.5621 0.4147  1 Ta 1.93, 2 Fe 2.00-2.06
O 0.7699 0.3076 0.4276  1 Fe 2.02, 2 Ta 2.03-2.11
O 0.7699 0.6924 0.9276  1 Fe 2.02, 2 Ta 2.03-2.11

(8)
A relaxed TaFeO4 crystal. Source: the Materials Project database, functional PBE with a Hubbard U.

Results
ΔH_f (0 K) = -2.640 eV/atom
Spin magnetization = 0.000 μB/atom
E_tot = -8.49 eV/atom

abc: 6.1556 7.4523 6.5991
angles: 90.00 90.00 65.61
Closest atoms and distances in Å follow each position.
Sites, in units of the cell vectors:
Fe 0.0000 0.5000 0.0000  6 O 2.02-2.09
Fe 0.7500 0.0000 0.5000  6 O 2.02-2.09
Fe 0.2500 0.0000 0.5000  6 O 2.02-2.09
Fe 0.5000 0.5000 0.0000  6 O 2.02-2.09
O 0.8458 0.8084 0.0000  2 Ta 2.01, 1 Fe 2.09
O 0.0000 0.0000 0.6993  1 Ta 1.98, 2 Fe 2.02
O 0.2500 0.5000 0.1993  1 Ta 1.98, 2 Fe 2.02
O 0.9042 0.6916 0.5000  2 Ta 2.01, 1 Fe 2.09
O 0.5000 0.0000 0.6993  1 Ta 1.98, 2 Fe 2.02
O 0.3458 0.8084 0.0000  2 Ta 2.01, 1 Fe 2.09
O 0.2500 0.5000 0.8007  1 Ta 1.98, 2 Fe 2.02
O 0.0000 0.0000 0.3007  1 Ta 1.98, 2 Fe 2.02
O 0.1542 0.1916 0.0000  2 Ta 2.01, 1 Fe 2.09
O 0.7500 0.5000 0.1993  1 Ta 1.98, 2 Fe 2.02
O 0.5000 0.0000 0.3007  1 Ta 1.98, 2 Fe 2.02
O 0.5958 0.3084 0.5000  2 Ta 2.01, 1 Fe 2.09
O 0.0958 0.3084 0.5000  2 Ta 2.01, 1 Fe 2.09
O 0.4042 0.6916 0.5000  2 Ta 2.01, 1 Fe 2.09
O 0.6542 0.1916 0.0000  2 Ta 2.01, 1 Fe 2.09
O 0.7500 0.5000 0.8007  1 Ta 1.98, 2 Fe 2.02
Ta 0.0000 0.0000 0.0000  6 O 1.98-2.01
Ta 0.5000 0.0000 0.0000  6 O 1.98-2.01
Ta 0.2500 0.5000 0.5000  6 O 1.98-2.01
Ta 0.7500 0.5000 0.5000  6 O 1.98-2.01

| no. | MP2020-corrected energy (eV/atom) |
| --- | --- |
| 1 | -9.844 |
| 2 | -9.354 |
| 3 | -9.356 |
| 4 | -9.853 |
| 5 | -9.320 |
| 6 | -9.338 |
| 7 | -9.326 |
| 8 | -9.326 |